A relaxed Ba5B3ClO9 crystal. Source: the Materials Project database, functional GGA-PBE.

a b c (Å): 9.242 9.242 7.991
angles (deg): 90.00 90.00 109.96
Fractional positions:
Ba: 0.239 0.239 0.000
Ba: 0.761 0.761 0.500
Ba: 0.995 0.736 0.056
Ba: 0.736 0.995 0.944
Ba: 0.005 0.264 0.556
Ba: 0.264 0.005 0.444
Ba: 0.637 0.363 0.250
Ba: 0.363 0.637 0.750
Ba: 0.359 0.641 0.250
Ba: 0.641 0.359 0.750
B: 0.404 0.985 0.031
B: 0.985 0.404 0.969
B: 0.596 0.015 0.531
B: 0.015 0.596 0.469
B: 0.628 0.628 0.000
B: 0.372 0.372 0.500
Cl: 0.953 0.047 0.250
Cl: 0.047 0.953 0.750
O: 0.495 0.495 0.000
O: 0.505 0.505 0.500
O: 0.509 0.132 0.992
O: 0.132 0.509 0.008
O: 0.491 0.868 0.492
O: 0.868 0.491 0.508
O: 0.852 0.435 0.014
O: 0.435 0.852 0.986
O: 0.148 0.565 0.514
O: 0.565 0.148 0.486
O: 0.310 0.307 0.653
O: 0.307 0.310 0.347
O: 0.690 0.693 0.153
O: 0.693 0.690 0.847
O: 0.270 0.971 0.119
O: 0.971 0.270 0.881
O: 0.730 0.029 0.619
O: 0.029 0.730 0.381

Properties
Calculated density (g cm⁻³): 4.7
Uncorrected energy (eV/f.u.): -126.20
Magnetic moment (μB per cell): 0.0



A relaxed Dy3Mn3Ga2Si crystal. Source: the Materials Project database, functional GGA-PBE.

a b c (Å): 7.120 7.120 3.916
angles (deg): 90.00 90.00 120.00
Fractional positions:
Dy: 0.000 0.595 0.500
Dy: 0.405 0.405 0.500
Dy: 0.595 0.000 0.500
Mn: 0.779 0.779 0.000
Mn: 0.221 0.000 0.000
Mn: 0.000 0.221 0.000
Ga: 0.667 0.333 0.000
Ga: 0.333 0.667 0.000
Si: 0.000 0.000 0.500

Properties
Calculated density (g cm⁻³): 7.9
Uncorrected energy (eV/f.u.): -55.89
Magnetic moment (μB per cell): 7.5



A relaxed HoThRu2 crystal. Source: the Materials Project database, functional GGA-PBE.

a b c (Å): 4.912 4.912 4.912
angles (deg): 60.00 60.00 60.00
Fractional positions:
Ho: 0.500 0.500 0.500
Th: 0.000 0.000 0.000
Ru: 0.250 0.250 0.250
Ru: 0.750 0.750 0.750

Properties
Calculated density (g cm⁻³): 11.9
Uncorrected energy (eV/f.u.): -32.33